(1)
DFT (PBE+U) results for a relaxed structure of Li2Cr3P9O28.

abc: 7.0711 9.0434 9.2301
angles: 111.65 109.84 99.28
Last column: nearest neighbours and their distance in Å.
Sites, in units of the cell vectors:
Li: 0.2048 0.4567 0.2216  2 O 2.06-2.11
Li: 0.7952 0.5433 0.7784  2 O 2.06-2.11
Cr: 0.0000 0.0000 0.0000  6 O 1.96-2.02
Cr: 0.2574 0.5126 0.7566  6 O 1.93-2.10
Cr: 0.7426 0.4874 0.2434  6 O 1.93-2.10
P: 0.1868 0.2003 0.4177  4 O 1.52-1.62
P: 0.1933 0.7465 0.5525  4 O 1.50-1.61
P: 0.2895 0.2613 0.9313  4 O 1.51-1.60
P: 0.3445 0.8210 0.1049  4 O 1.50-1.60
P: 0.5000 0.0000 0.5000  6 O 1.71-1.74
P: 0.6555 0.1790 0.8951  4 O 1.50-1.60
P: 0.7105 0.7387 0.0687  4 O 1.51-1.60
P: 0.8067 0.2535 0.4475  4 O 1.50-1.61
P: 0.8132 0.7997 0.5823  4 O 1.52-1.62
O: 0.0389 0.8568 0.5761  2 P 1.61-1.62
O: 0.0765 0.5895 0.3756  1 P 1.54
O: 0.0890 0.1593 0.9198  1 P 1.51
O: 0.1430 0.1937 0.2421  1 P 1.52
O: 0.2132 0.6370 0.9735  1 P 1.53
O: 0.2351 0.3127 0.7885  1 P 1.51
O: 0.2693 0.9535 0.0663  1 P 1.50
O: 0.2705 0.7089 0.7041  1 P 1.50
O: 0.2786 0.0640 0.4537  2 P 1.57-1.73
O: 0.3118 0.3814 0.5546  1 P 1.52
O: 0.3811 0.8360 0.2905  2 P 1.59-1.74
O: 0.3879 0.8681 0.5637  2 P 1.56-1.71
O: 0.4224 0.4080 0.1155  1 P 1.54
O: 0.4257 0.1383 0.8930  2 P 1.60
O: 0.5743 0.8617 0.1070  2 P 1.60
O: 0.5776 0.5920 0.8845  1 P 1.54
O: 0.6121 0.1319 0.4363  2 P 1.56-1.71
O: 0.6189 0.1640 0.7095  2 P 1.59-1.74
O: 0.6882 0.6186 0.4454  1 P 1.52
O: 0.7214 0.9360 0.5463  2 P 1.57-1.73
O: 0.7295 0.2911 0.2959  1 P 1.50
O: 0.7307 0.0465 0.9337  1 P 1.50
O: 0.7649 0.6873 0.2115  1 P 1.51
O: 0.7868 0.3630 0.0265  1 P 1.53
O: 0.8570 0.8063 0.7579  1 P 1.52
O: 0.9110 0.8407 0.0802  1 P 1.51
O: 0.9235 0.4105 0.6244  1 P 1.54
O: 0.9611 0.1432 0.4239  2 P 1.61-1.62

(2)
DFT (PBE+U) results for a relaxed structure of LiCrP2O7.

abc: 6.1469 6.3007 7.8305
angles: 98.27 103.50 109.49
Last column: nearest neighbours and their distance in Å.
Sites, in units of the cell vectors:
Li: 0.0000 0.0000 0.0000  4 O 2.36-2.59
Li: 0.0000 0.0000 0.5000  6 O 2.49-2.62
Cr: 0.3723 0.6892 0.2301  6 O 1.99-2.06
Cr: 0.6277 0.3108 0.7699  6 O 1.99-2.06
P: 0.1785 0.4430 0.7915  4 O 1.51-1.63
P: 0.4497 0.2364 0.3189  4 O 1.52-1.61
P: 0.5503 0.7636 0.6811  4 O 1.52-1.61
P: 0.8215 0.5570 0.2085  4 O 1.51-1.63
O: 0.0884 0.6990 0.3129  1 P 1.53
O: 0.2173 0.6121 0.9640  1 P 1.51
O: 0.2757 0.5924 0.6528  2 P 1.61-1.63
O: 0.2785 0.3406 0.2168  1 P 1.55
O: 0.3043 0.2688 0.8099  1 P 1.54
O: 0.4038 0.0051 0.1969  1 P 1.52
O: 0.4229 0.2183 0.5063  1 P 1.53
O: 0.5771 0.7817 0.4937  1 P 1.53
O: 0.5962 0.9949 0.8031  1 P 1.52
O: 0.6957 0.7312 0.1901  1 P 1.54
O: 0.7215 0.6594 0.7832  1 P 1.55
O: 0.7243 0.4076 0.3472  2 P 1.61-1.63
O: 0.7827 0.3879 0.0360  1 P 1.51
O: 0.9116 0.3010 0.6871  1 P 1.53

Calculated values
**Offset from the most stable computed form**: 0.077 eV/atom

(3)
DFT (PBE+U) results for a relaxed structure of LiCrPO4.

abc: 7.5490 4.9411 18.3666
angles: 90.00 92.95 90.00
Last column: nearest neighbours and their distance in Å.
Sites, in units of the cell vectors:
Li: 0.0006 0.1618 0.3273  4 O 2.06-2.23
Li: 0.0006 0.3382 0.8273  4 O 2.06-2.23
Li: 0.4806 0.7414 0.0940  2 O 1.94-2.08
Li: 0.4806 0.7586 0.5940  2 O 1.94-2.08
Li: 0.5194 0.2414 0.4060  2 O 1.94-2.08
Li: 0.5194 0.2586 0.9060  2 O 1.94-2.08
Li: 0.9994 0.6618 0.1727  4 O 2.06-2.23
Li: 0.9994 0.8382 0.6727  4 O 2.06-2.23
Cr: 0.1384 0.2373 0.5108  4 O 1.99-2.15
Cr: 0.1384 0.2627 0.0108  4 O 1.99-2.15
Cr: 0.3178 0.7200 0.2749  4 O 2.02-2.16
Cr: 0.3178 0.7800 0.7749  4 O 2.02-2.16
Cr: 0.6822 0.2200 0.2251  4 O 2.02-2.16
Cr: 0.6822 0.2800 0.7251  4 O 2.02-2.16
Cr: 0.8616 0.7373 0.9892  4 O 1.99-2.15
Cr: 0.8616 0.7627 0.4892  4 O 1.99-2.15
P: 0.2567 0.7047 0.9359  4 O 1.52-1.62
P: 0.2567 0.7953 0.4359  4 O 1.52-1.62
P: 0.2577 0.1543 0.1790  4 O 1.54-1.59
P: 0.2577 0.3457 0.6790  4 O 1.54-1.59
P: 0.7423 0.6543 0.3210  4 O 1.54-1.59
P: 0.7423 0.8457 0.8210  4 O 1.54-1.59
P: 0.7433 0.2047 0.5641  4 O 1.52-1.62
P: 0.7433 0.2953 0.0641  4 O 1.52-1.62
O: 0.0647 0.5597 0.9296  1 P 1.62
O: 0.0647 0.9403 0.4296  1 P 1.62
O: 0.1241 0.0006 0.2284  1 P 1.59
O: 0.1241 0.4994 0.7284  1 P 1.59
O: 0.2285 0.0622 0.0995  1 P 1.54
O: 0.2285 0.4378 0.5995  1 P 1.54
O: 0.2389 0.0362 0.6887  1 P 1.55
O: 0.2389 0.4638 0.1887  1 P 1.55
O: 0.2408 0.0167 0.9274  1 P 1.55
O: 0.2408 0.4833 0.4274  1 P 1.55
O: 0.3352 0.6195 0.0103  1 P 1.52
O: 0.3352 0.8805 0.5103  1 P 1.52
O: 0.3575 0.5800 0.8725  1 P 1.55
O: 0.3575 0.9200 0.3725  1 P 1.55
O: 0.4436 0.0408 0.2048  1 P 1.56
O: 0.4436 0.4592 0.7048  1 P 1.56
O: 0.5564 0.5408 0.2952  1 P 1.56
O: 0.5564 0.9592 0.7952  1 P 1.56
O: 0.6425 0.0800 0.6275  1 P 1.55
O: 0.6425 0.4200 0.1275  1 P 1.55
O: 0.6648 0.1195 0.4897  1 P 1.52
O: 0.6648 0.3805 0.9897  1 P 1.52
O: 0.7592 0.5167 0.5726  1 P 1.55
O: 0.7592 0.9833 0.0726  1 P 1.55
O: 0.7611 0.5362 0.8113  1 P 1.55
O: 0.7611 0.9638 0.3113  1 P 1.55
O: 0.7715 0.5622 0.4005  1 P 1.54
O: 0.7715 0.9378 0.9005  1 P 1.54
O: 0.8759 0.5006 0.2716  1 P 1.59
O: 0.8759 0.9994 0.7716  1 P 1.59
O: 0.9353 0.0597 0.5704  1 P 1.62
O: 0.9353 0.4403 0.0704  1 P 1.62

Calculated values
**Offset from the most stable computed form**: 0.058 eV/atom

(4)
DFT (PBE+U) results for a relaxed structure of LiCrPO4.

abc: 4.9937 4.9937 6.4666
angles: 90.00 90.00 112.04
Last column: nearest neighbours and their distance in Å.
Sites, in units of the cell vectors:
Li: 0.0000 0.0000 0.0000  6 O 2.05-2.24
Li: 0.0000 0.0000 0.5000  6 O 2.05-2.24
Cr: 0.2927 0.7073 0.7500  2 O 2.03
Cr: 0.7073 0.2927 0.2500  2 O 2.03
P: 0.3549 0.6451 0.2500  4 O 1.55-1.56
P: 0.6451 0.3549 0.7500  4 O 1.55-1.56
O: 0.2367 0.3082 0.2500  1 P 1.56
O: 0.2441 0.7559 0.0570  1 P 1.55
O: 0.2441 0.7559 0.4430  1 P 1.55
O: 0.3082 0.2367 0.7500  1 P 1.56
O: 0.6918 0.7633 0.2500  1 P 1.56
O: 0.7559 0.2441 0.5570  1 P 1.55
O: 0.7559 0.2441 0.9430  1 P 1.55
O: 0.7633 0.6918 0.7500  1 P 1.56

Calculated values
**Offset from the most stable computed form**: 0.076 eV/atom

(5)
DFT (PBE+U) results for a relaxed structure of Li4Cr2P3O12.

abc: 9.0383 8.8326 15.0490
angles: 90.00 126.14 90.00
Last column: nearest neighbours and their distance in Å.
Sites, in units of the cell vectors:
Li: 0.0391 0.2416 0.3241  4 O 1.91-2.04
Li: 0.0391 0.2584 0.8241  4 O 1.91-2.04
Li: 0.2364 0.0652 0.2880  4 O 2.00-2.14
Li: 0.2364 0.4348 0.7880  4 O 2.00-2.14
Li: 0.3227 0.5860 0.2840  3 O 1.90-2.06
Li: 0.3227 0.9140 0.7840  3 O 1.90-2.06
Li: 0.3771 0.2369 0.1783  4 O 2.00-2.04
Li: 0.3771 0.2631 0.6783  4 O 2.00-2.04
Li: 0.6229 0.7369 0.3217  4 O 2.00-2.04
Li: 0.6229 0.7631 0.8217  4 O 2.00-2.04
Li: 0.6773 0.0860 0.2160  3 O 1.90-2.06
Li: 0.6773 0.4140 0.7160  3 O 1.90-2.06
Li: 0.7636 0.5652 0.2120  4 O 2.00-2.14
Li: 0.7636 0.9348 0.7120  4 O 2.00-2.14
Li: 0.9609 0.7416 0.1759  4 O 1.91-2.04
Li: 0.9609 0.7584 0.6759  4 O 1.91-2.04
Cr: 0.1412 0.5496 0.3903  5 O 2.00-2.20
Cr: 0.1412 0.9504 0.8903  5 O 2.00-2.20
Cr: 0.3611 0.5460 0.1085  6 O 1.96-2.12
Cr: 0.3611 0.9540 0.6085  6 O 1.96-2.12
Cr: 0.6389 0.0460 0.3915  6 O 1.96-2.12
Cr: 0.6389 0.4540 0.8915  6 O 1.96-2.12
Cr: 0.8588 0.0496 0.1097  5 O 2.00-2.20
Cr: 0.8588 0.4504 0.6097  5 O 2.00-2.20
P: 0.0461 0.1024 0.6481  4 O 1.52-1.58
P: 0.0461 0.3976 0.1481  4 O 1.52-1.58
P: 0.2599 0.6096 0.6537  4 O 1.50-1.59
P: 0.2599 0.8904 0.1537  4 O 1.50-1.59
P: 0.4483 0.2440 0.4994  4 O 1.52-1.57
P: 0.4483 0.2560 0.9994  4 O 1.52-1.57
P: 0.5517 0.7440 0.0006  4 O 1.52-1.57
P: 0.5517 0.7560 0.5006  4 O 1.52-1.57
P: 0.7401 0.1096 0.8463  4 O 1.50-1.59
P: 0.7401 0.3904 0.3463  4 O 1.50-1.59
P: 0.9538 0.6024 0.8519  4 O 1.52-1.58
P: 0.9538 0.8976 0.3519  4 O 1.52-1.58
O: 0.0417 0.5259 0.2192  1 P 1.57
O: 0.0417 0.9741 0.7192  1 P 1.57
O: 0.0510 0.2374 0.1926  1 P 1.55
O: 0.0510 0.2626 0.6926  1 P 1.55
O: 0.1135 0.6089 0.6759  1 P 1.54
O: 0.1135 0.8911 0.1759  1 P 1.54
O: 0.1173 0.5860 0.9714  1 P 1.52
O: 0.1173 0.9140 0.4714  1 P 1.52
O: 0.1899 0.5733 0.5374  1 P 1.50
O: 0.1899 0.9267 0.0374  1 P 1.50
O: 0.2368 0.0803 0.6677  1 P 1.58
O: 0.2368 0.4197 0.1677  1 P 1.58
O: 0.2791 0.1575 0.9192  1 P 1.54
O: 0.2791 0.3425 0.4192  1 P 1.54
O: 0.3585 0.7318 0.1916  1 P 1.58
O: 0.3585 0.7682 0.6916  1 P 1.58
O: 0.3792 0.6671 0.4174  1 P 1.52
O: 0.3792 0.8329 0.9174  1 P 1.52
O: 0.3998 0.1541 0.5692  1 P 1.57
O: 0.3998 0.3459 0.0692  1 P 1.57
O: 0.4007 0.0194 0.2315  1 P 1.59
O: 0.4007 0.4806 0.7315  1 P 1.59
O: 0.4709 0.1360 0.4260  1 P 1.56
O: 0.4709 0.3640 0.9260  1 P 1.56
O: 0.5291 0.6360 0.0740  1 P 1.56
O: 0.5291 0.8640 0.5740  1 P 1.56
O: 0.5993 0.5194 0.2685  1 P 1.59
O: 0.5993 0.9806 0.7685  1 P 1.59
O: 0.6002 0.6541 0.9308  1 P 1.57
O: 0.6002 0.8459 0.4308  1 P 1.57
O: 0.6208 0.1671 0.0826  1 P 1.52
O: 0.6208 0.3329 0.5826  1 P 1.52
O: 0.6415 0.2318 0.3084  1 P 1.58
O: 0.6415 0.2682 0.8084  1 P 1.58
O: 0.7209 0.6575 0.5808  1 P 1.54
O: 0.7209 0.8425 0.0808  1 P 1.54
O: 0.7632 0.5803 0.8323  1 P 1.58
O: 0.7632 0.9197 0.3323  1 P 1.58
O: 0.8101 0.0733 0.9626  1 P 1.50
O: 0.8101 0.4267 0.4626  1 P 1.50
O: 0.8827 0.0860 0.5286  1 P 1.52
O: 0.8827 0.4140 0.0286  1 P 1.52
O: 0.8865 0.1089 0.8241  1 P 1.54
O: 0.8865 0.3911 0.3241  1 P 1.54
O: 0.9490 0.7374 0.3074  1 P 1.55
O: 0.9490 0.7626 0.8074  1 P 1.55
O: 0.9583 0.0259 0.2808  1 P 1.57
O: 0.9583 0.4741 0.7808  1 P 1.57

Calculated values
**Offset from the most stable computed form**: 0.011 eV/atom

(6)
DFT (PBE+U) results for a relaxed structure of LiCrP4O13.

abc: 5.1400 7.8891 13.5295
angles: 78.72 88.25 81.60
Last column: nearest neighbours and their distance in Å.
Sites, in units of the cell vectors:
Li: 0.0000 0.0000 0.0000  2 O 1.92-1.97
Li: 0.4968 0.3084 0.4970  3 O 1.91-1.94
Cr: 0.0942 0.6162 0.2463  6 O 1.94-2.00
Cr: 0.9973 0.7099 0.7596  6 O 1.91-1.97
P: 0.1918 0.0891 0.6826  4 O 1.47-1.61
P: 0.2243 0.0097 0.2002  4 O 1.47-1.62
P: 0.4579 0.8603 0.8610  4 O 1.50-1.62
P: 0.5344 0.5579 0.6570  4 O 1.49-1.64
P: 0.5562 0.7681 0.3503  4 O 1.52-1.62
P: 0.6365 0.4672 0.1420  4 O 1.51-1.61
P: 0.8602 0.3203 0.8081  4 O 1.47-1.61
P: 0.9019 0.2411 0.3236  4 O 1.48-1.61
O: 0.0073 0.9497 0.6927  1 P 1.54
O: 0.0317 0.2588 0.7163  2 P 1.60-1.61
O: 0.0584 0.0663 0.2952  2 P 1.60-1.62
O: 0.0939 0.8610 0.1742  1 P 1.53
O: 0.0958 0.3722 0.3150  1 P 1.52
O: 0.2373 0.6283 0.6617  1 P 1.55
O: 0.2527 0.1535 0.1146  1 P 1.47
O: 0.2989 0.7187 0.8402  1 P 1.55
O: 0.3106 0.1455 0.5837  1 P 1.47
O: 0.3477 0.5439 0.1453  1 P 1.52
O: 0.3570 0.9177 0.9565  1 P 1.50
O: 0.3835 0.6292 0.3388  1 P 1.54
O: 0.4157 0.0237 0.7672  2 P 1.61-1.62
O: 0.4723 0.8395 0.4457  1 P 1.53
O: 0.5036 0.9263 0.2531  2 P 1.61-1.62
O: 0.5826 0.3988 0.7558  2 P 1.60-1.64
O: 0.6027 0.4816 0.5654  1 P 1.49
O: 0.6866 0.3041 0.2349  2 P 1.61
O: 0.7028 0.6968 0.6741  1 P 1.55
O: 0.7192 0.4110 0.0438  1 P 1.51
O: 0.7563 0.7974 0.8606  1 P 1.54
O: 0.7636 0.1972 0.4204  1 P 1.48
O: 0.8103 0.6041 0.1581  1 P 1.55
O: 0.8336 0.1747 0.8928  1 P 1.47
O: 0.8466 0.6963 0.3485  1 P 1.52
O: 0.9885 0.4751 0.8287  1 P 1.54

Calculated values
**Offset from the most stable computed form**: 0.011 eV/atom

(7)
DFT (PBE+U) results for a relaxed structure of LiCr4P3O12.

abc: 8.8952 8.8952 7.3548
angles: 111.47 111.47 90.14
Last column: nearest neighbours and their distance in Å.
Sites, in units of the cell vectors:
Li: 0.0062 0.9938 0.7500  4 O 2.35-2.44
Li: 0.9938 0.0062 0.2500  4 O 2.35-2.44
Cr: 0.0609 0.3861 0.1510  4 O 2.03-2.08
Cr: 0.2669 0.7331 0.7500  4 O 2.06-2.15
Cr: 0.3861 0.0609 0.6510  4 O 2.03-2.08
Cr: 0.4931 0.5069 0.2500  4 O 2.02-2.04
Cr: 0.5069 0.4931 0.7500  4 O 2.02-2.04
Cr: 0.6139 0.9391 0.3490  4 O 2.03-2.08
Cr: 0.7331 0.2669 0.2500  4 O 2.06-2.15
Cr: 0.9391 0.6139 0.8490  4 O 2.03-2.08
P: 0.1163 0.3367 0.6094  4 O 1.53-1.60
P: 0.2780 0.7220 0.2500  4 O 1.52-1.59
P: 0.3367 0.1163 0.1094  4 O 1.53-1.60
P: 0.6633 0.8837 0.8906  4 O 1.53-1.60
P: 0.7220 0.2780 0.7500  4 O 1.52-1.59
P: 0.8837 0.6633 0.3906  4 O 1.53-1.60
O: 0.0148 0.7002 0.6184  1 P 1.56
O: 0.0484 0.4050 0.7814  1 P 1.53
O: 0.1671 0.7458 0.0518  1 P 1.52
O: 0.1716 0.1770 0.0963  1 P 1.55
O: 0.1770 0.1716 0.5963  1 P 1.55
O: 0.2542 0.8329 0.4482  1 P 1.52
O: 0.2596 0.4732 0.6583  1 P 1.60
O: 0.2671 0.5407 0.2416  1 P 1.59
O: 0.2998 0.9852 0.8816  1 P 1.56
O: 0.4050 0.0484 0.2814  1 P 1.53
O: 0.4593 0.7329 0.2584  1 P 1.59
O: 0.4732 0.2596 0.1583  1 P 1.60
O: 0.5268 0.7404 0.8417  1 P 1.60
O: 0.5407 0.2671 0.7416  1 P 1.59
O: 0.5950 0.9516 0.7186  1 P 1.53
O: 0.7002 0.0148 0.1184  1 P 1.56
O: 0.7329 0.4593 0.7584  1 P 1.59
O: 0.7404 0.5268 0.3417  1 P 1.60
O: 0.7458 0.1671 0.5518  1 P 1.52
O: 0.8230 0.8284 0.4037  1 P 1.55
O: 0.8284 0.8230 0.9037  1 P 1.55
O: 0.8329 0.2542 0.9482  1 P 1.52
O: 0.9516 0.5950 0.2186  1 P 1.53
O: 0.9852 0.2998 0.3816  1 P 1.56

Calculated values
**Offset from the most stable computed form**: 0.041 eV/atom

(8)
DFT (PBE+U) results for a relaxed structure of Li3CrP2O8.

abc: 6.7223 5.3432 8.5113
angles: 90.00 95.96 90.00
Last column: nearest neighbours and their distance in Å.
Sites, in units of the cell vectors:
Li: 0.0790 0.2500 0.1950  4 O 2.06-2.22
Li: 0.1731 0.7500 0.5058  3 O 1.91-2.10
Li: 0.2364 0.2500 0.8667  3 O 1.88-2.08
Li: 0.7636 0.7500 0.1333  3 O 1.88-2.08
Li: 0.8269 0.2500 0.4942  3 O 1.91-2.10
Li: 0.9210 0.7500 0.8050  4 O 2.06-2.22
Cr: 0.4788 0.7500 0.7464  6 O 1.97-2.04
Cr: 0.5212 0.2500 0.2536  6 O 1.97-2.04
P: 0.2473 0.7500 0.0982  4 O 1.53-1.56
P: 0.2837 0.2500 0.5606  4 O 1.53-1.58
P: 0.7163 0.7500 0.4394  4 O 1.53-1.58
P: 0.7527 0.2500 0.9018  4 O 1.53-1.56
O: 0.0193 0.7500 0.0625  1 P 1.53
O: 0.0972 0.2500 0.4419  1 P 1.53
O: 0.2749 0.0193 0.6749  1 P 1.58
O: 0.2749 0.4807 0.6749  1 P 1.58
O: 0.3075 0.5075 0.1943  1 P 1.56
O: 0.3075 0.9925 0.1943  1 P 1.56
O: 0.3568 0.7500 0.9482  1 P 1.54
O: 0.4760 0.2500 0.4791  1 P 1.53
O: 0.5240 0.7500 0.5209  1 P 1.53
O: 0.6432 0.2500 0.0518  1 P 1.54
O: 0.6925 0.0075 0.8057  1 P 1.56
O: 0.6925 0.4925 0.8057  1 P 1.56
O: 0.7251 0.5193 0.3251  1 P 1.58
O: 0.7251 0.9807 0.3251  1 P 1.58
O: 0.9028 0.7500 0.5581  1 P 1.53
O: 0.9807 0.2500 0.9375  1 P 1.53

Calculated values
**Offset from the most stable computed form**: 0.054 eV/atom

Number 1: electronic total energy -7.221 eV per atom, energy relative to the elements -2.583 eV per atom. Number 2: electronic total energy -7.163 eV per atom, energy relative to the elements -2.598 eV per atom. Number 3: electronic total energy -7.083 eV per atom, energy relative to the elements -2.509 eV per atom. Number 4: electronic total energy -7.065 eV per atom, energy relative to the elements -2.491 eV per atom. Number 5: electronic total energy -6.914 eV per atom, energy relative to the elements -2.614 eV per atom. Number 6: electronic total energy -6.955 eV per atom, energy relative to the elements -2.397 eV per atom. Number 7: electronic total energy -7.453 eV per atom, energy relative to the elements -2.458 eV per atom. Number 8: electronic total energy -6.780 eV per atom, energy relative to the elements -2.616 eV per atom.